(1)
A plane-wave DFT calculation with r²SCAN was carried out for a relaxed LaCdAu2 crystal.

Cell lengths 5.078, 5.078, 5.078 Å; angles 60.00, 60.00, 60.00 degrees
Atoms (fractional coordinates):
La  0.000  0.000  0.000
Cd  0.500  0.500  0.500
Au  0.250  0.250  0.250
Au  0.750  0.750  0.750

Values from the calculation:
Raw total energy   -38.4732 eV/atom
Total magnetic moment   0.0 μB per cell
Crystal system   cubic

=====

(2)
A plane-wave DFT calculation with r²SCAN was carried out for a relaxed LiCd2Au crystal.

Cell lengths 4.675, 4.675, 4.675 Å; angles 60.00, 60.00, 60.00 degrees
Atoms (fractional coordinates):
Li  0.000  0.000  0.000
Cd  0.250  0.250  0.250
Cd  0.750  0.750  0.750
Au  0.500  0.500  0.500

Values from the calculation:
Raw total energy   -23.6630 eV/atom
Total magnetic moment   0.0 μB per cell
Crystal system   cubic

=====

- total magnetic moment of number 2 (LiCd2Au)?
  0.0 μB per cell